Entry from the Materials Project: a relaxed TiMn3Cu2P6O24 crystal (PBE with a Hubbard U).

Geometry as POSCAR:
```
TiMn3Cu2P6O24
1.0
4.289 2.476 6.998
-4.289 2.476 6.998
0.000 -4.952 6.998
Ti Mn Cu P O
1 3 2 6 24
Cartesian
0.000 0.000 0.000 Ti
0.000 0.000 4.497 Mn
0.000 0.000 10.486 Mn
0.000 0.000 14.983 Mn
0.000 0.000 7.476 Cu
0.000 0.000 18.001 Cu
-3.035 0.299 9.262 P
-1.235 -2.156 12.732 P
1.259 -2.778 9.262 P
-1.250 2.147 12.732 P
1.776 2.479 9.262 P
2.484 0.008 12.732 P
-3.468 1.078 7.998 O
-0.893 -1.196 5.845 O
-2.791 -2.329 12.663 O
-3.475 0.988 10.544 O
0.800 -3.542 7.998 O
-1.480 0.174 9.118 O
-0.590 1.371 5.845 O
-0.870 -1.424 11.441 O
0.882 -3.504 10.544 O
0.590 -1.369 9.118 O
1.482 -0.175 5.845 O
-0.800 -1.470 14.024 O
-0.799 1.466 11.441 O
-1.479 -0.155 16.343 O
0.891 1.195 9.118 O
-0.873 1.427 14.024 O
1.669 -0.041 11.441 O
-0.621 3.581 12.663 O
0.873 -1.204 16.343 O
2.668 2.464 7.998 O
1.672 0.042 14.024 O
3.412 -1.252 12.663 O
0.606 1.358 16.343 O
2.594 2.515 10.544 O
```

SG: R3
energy of formation from the pure elements: -84.72 eV per formula unit